Entry 1:
Density functional theory data (PBE+U) for an optimized crystal structure of Ba2Tl2Zn2Fe3O10.

Calculated values
Crystal system ... triclinic
Energy of formation from the pure elements ... -3016 kJ/mol of formula units

```
data_Ba2Tl2Zn2Fe3O10
_space_group_name_H-M_alt 'P 1'
_space_group_IT_number 1
_space_group_name_Hall 'P 1'
_cell_length_a 3.984
_cell_length_b 4.019
_cell_length_c 17.818
_cell_angle_alpha 94.85
_cell_angle_beta 94.14
_cell_angle_gamma 90.50
loop_
_atom_site_label
_atom_site_type_symbol
_atom_site_fract_x
_atom_site_fract_y
_atom_site_fract_z
Ba1 Ba 0.000 0.000 0.000
Ba2 Ba 0.346 0.312 0.560
Tl1 Tl 0.433 0.503 0.844
Tl2 Tl 0.887 0.949 0.717
Zn1 Zn 0.121 0.160 0.192
Zn2 Zn 0.203 0.252 0.369
Fe1 Fe 0.554 0.548 0.119
Fe2 Fe 0.569 0.805 0.280
Fe3 Fe 0.802 0.755 0.440
O1 O 0.049 0.510 0.118
O2 O 0.053 0.870 0.274
O3 O 0.307 0.749 0.441
O4 O 0.394 0.289 0.727
O5 O 0.482 0.488 0.963
O6 O 0.511 0.324 0.287
O7 O 0.533 0.040 0.117
O8 O 0.837 0.255 0.444
O9 O 0.850 0.830 0.598
O10 O 0.932 0.832 0.833
```

=====

Entry 2:
Density functional theory data (PBE+U) for an optimized crystal structure of LiCrNiO4.

Calculated values
Crystal system ... orthorhombic
Energy of formation from the pure elements ... -1171 kJ/mol of formula units

```
data_LiCrNiO4
_space_group_name_H-M_alt 'P 1'
_space_group_IT_number 1
_space_group_name_Hall 'P 1'
_cell_length_a 5.845
_cell_length_b 5.845
_cell_length_c 5.845
_cell_angle_alpha 120.40
_cell_angle_beta 119.47
_cell_angle_gamma 90.11
loop_
_atom_site_label
_atom_site_type_symbol
_atom_site_fract_x
_atom_site_fract_y
_atom_site_fract_z
Li1 Li 0.371 0.121 0.250
Li2 Li 0.629 0.879 0.750
Cr1 Cr 0.000 0.500 0.500
Cr2 Cr 0.500 0.500 0.000
Ni1 Ni 0.000 0.000 0.500
Ni2 Ni 0.000 0.500 0.000
O1 O 0.207 0.738 0.469
O2 O 0.231 0.262 0.969
O3 O 0.238 0.265 0.527
O4 O 0.238 0.712 0.973
O5 O 0.762 0.288 0.027
O6 O 0.762 0.735 0.473
O7 O 0.769 0.738 0.031
O8 O 0.793 0.262 0.531
```

=====

Entry 3:
Density functional theory data (PBE+U) for an optimized crystal structure of CaFeO2.

Calculated values
Crystal system ... tetragonal
Energy of formation from the pure elements ... -889 kJ/mol of formula units

```
data_CaFeO2
_space_group_name_H-M_alt 'P 1'
_space_group_IT_number 1
_space_group_name_Hall 'P 1'
_cell_length_a 4.003
_cell_length_b 4.003
_cell_length_c 3.231
_cell_angle_alpha 90.00
_cell_angle_beta 90.00
_cell_angle_gamma 90.00
loop_
_atom_site_label
_atom_site_type_symbol
_atom_site_fract_x
_atom_site_fract_y
_atom_site_fract_z
Ca1 Ca 0.000 0.000 0.000
Fe1 Fe 0.500 0.500 0.500
O1 O 0.000 0.500 0.500
O2 O 0.500 0.000 0.500
```

=====

Entry 4:
Density functional theory data (PBE+U) for an optimized crystal structure of Ba2LaVO6.

Calculated values
Crystal system ... cubic
Energy of formation from the pure elements ... -2980 kJ/mol of formula units

```
data_Ba2LaVO6
_space_group_name_H-M_alt 'P 1'
_space_group_IT_number 1
_space_group_name_Hall 'P 1'
_cell_length_a 8.556
_cell_length_b 8.556
_cell_length_c 8.556
_cell_angle_alpha 90.00
_cell_angle_beta 90.00
_cell_angle_gamma 90.00
loop_
_atom_site_label
_atom_site_type_symbol
_atom_site_fract_x
_atom_site_fract_y
_atom_site_fract_z
Ba1 Ba 0.250 0.250 0.250
Ba2 Ba 0.250 0.250 0.750
Ba3 Ba 0.250 0.750 0.250
Ba4 Ba 0.250 0.750 0.750
Ba5 Ba 0.750 0.250 0.250
Ba6 Ba 0.750 0.250 0.750
Ba7 Ba 0.750 0.750 0.250
Ba8 Ba 0.750 0.750 0.750
La1 La 0.000 0.000 0.000
La2 La 0.000 0.500 0.500
La3 La 0.500 0.000 0.500
La4 La 0.500 0.500 0.000
V1 V 0.000 0.000 0.500
V2 V 0.000 0.500 0.000
V3 V 0.500 0.000 0.000
V4 V 0.500 0.500 0.500
O1 O 0.017 0.518 0.777
O2 O 0.017 0.982 0.723
O3 O 0.018 0.223 0.517
O4 O 0.018 0.277 0.983
O5 O 0.223 0.517 0.018
O6 O 0.223 0.983 0.482
O7 O 0.277 0.517 0.482
O8 O 0.277 0.983 0.018
O9 O 0.482 0.223 0.983
O10 O 0.482 0.277 0.517
O11 O 0.483 0.518 0.723
O12 O 0.483 0.982 0.777
O13 O 0.517 0.018 0.223
O14 O 0.517 0.482 0.277
O15 O 0.518 0.723 0.483
O16 O 0.518 0.777 0.017
O17 O 0.723 0.017 0.982
O18 O 0.723 0.483 0.518
O19 O 0.777 0.017 0.518
O20 O 0.777 0.483 0.982
O21 O 0.982 0.723 0.017
O22 O 0.982 0.777 0.483
O23 O 0.983 0.018 0.277
O24 O 0.983 0.482 0.223
```

=====

Entry 5:
Density functional theory data (PBE+U) for an optimized crystal structure of Na6Mn3P4O16.

Calculated values
Crystal system ... monoclinic
Energy of formation from the pure elements ... -6927 kJ/mol of formula units

```
data_Na6Mn3P4O16
_space_group_name_H-M_alt 'P 1'
_space_group_IT_number 1
_space_group_name_Hall 'P 1'
_cell_length_a 10.634
_cell_length_b 10.634
_cell_length_c 10.937
_cell_angle_alpha 90.36
_cell_angle_beta 90.36
_cell_angle_gamma 37.06
loop_
_atom_site_label
_atom_site_type_symbol
_atom_site_fract_x
_atom_site_fract_y
_atom_site_fract_z
Na1 Na 0.016 0.984 0.500
Na2 Na 0.060 0.261 0.709
Na3 Na 0.067 0.585 0.650
Na4 Na 0.184 0.823 0.726
Na5 Na 0.261 0.060 0.209
Na6 Na 0.348 0.892 0.966
Na7 Na 0.465 0.673 0.389
Na8 Na 0.585 0.067 0.150
Na9 Na 0.673 0.465 0.889
Na10 Na 0.823 0.184 0.226
Na11 Na 0.892 0.348 0.466
Na12 Na 0.984 0.016 0.000
Mn1 Mn 0.073 0.568 0.144
Mn2 Mn 0.387 0.448 0.899
Mn3 Mn 0.448 0.387 0.399
Mn4 Mn 0.568 0.073 0.644
Mn5 Mn 0.714 0.746 0.895
Mn6 Mn 0.746 0.714 0.395
P1 P 0.255 0.293 0.888
P2 P 0.293 0.255 0.388
P3 P 0.305 0.681 0.154
P4 P 0.470 0.830 0.634
P5 P 0.681 0.305 0.654
P6 P 0.830 0.470 0.134
P7 P 0.845 0.900 0.899
P8 P 0.900 0.845 0.399
O1 O 0.025 0.435 0.857
O2 O 0.027 0.395 0.136
O3 O 0.064 0.776 0.870
O4 O 0.070 0.387 0.417
O5 O 0.104 0.762 0.145
O6 O 0.127 0.701 0.432
O7 O 0.246 0.860 0.209
O8 O 0.277 0.370 0.998
O9 O 0.291 0.887 0.580
O10 O 0.311 0.335 0.279
O11 O 0.335 0.311 0.779
O12 O 0.370 0.277 0.498
O13 O 0.387 0.070 0.917
O14 O 0.390 0.632 0.019
O15 O 0.395 0.027 0.636
O16 O 0.435 0.025 0.357
O17 O 0.472 0.483 0.238
O18 O 0.483 0.472 0.738
O19 O 0.524 0.745 0.768
O20 O 0.632 0.390 0.519
O21 O 0.660 0.669 0.051
O22 O 0.669 0.660 0.551
O23 O 0.701 0.127 0.932
O24 O 0.745 0.524 0.268
O25 O 0.762 0.104 0.645
O26 O 0.776 0.064 0.370
O27 O 0.776 0.869 0.789
O28 O 0.813 0.835 0.508
O29 O 0.835 0.813 0.008
O30 O 0.860 0.246 0.709
O31 O 0.869 0.776 0.289
O32 O 0.887 0.291 0.080
```

=====

Which value of energy of formation from the pure elements does entry 1 give? -3016 kJ/mol of formula units